(1)
Computed, not measured: crystalline HfGa3 at its relaxed geometry at the PBE level of DFT.

a b c (Å): 5.3181 5.3181 5.3181
angles (deg): 136.95 136.95 62.52
With the nearest neighbours (Å) after each atom.
Atoms (fractional coordinates):
Hf: 0.0000 0.0000 0.0000  12 Ga 2.76-3.00
Ga: 0.2500 0.7500 0.5000  8 Ga 2.76-3.00, 4 Hf 3.00
Ga: 0.5000 0.5000 0.0000  4 Hf 2.76, 8 Ga 3.00
Ga: 0.7500 0.2500 0.5000  8 Ga 2.76-3.00, 4 Hf 3.00

The value obtained for the formation energy from the elements is -0.39 eV per atom.


(2)
Computed, not measured: crystalline MgTe2Mo2W2Se4S2 at its relaxed geometry at the PBE level of DFT.

a b c (Å): 3.3420 3.3420 44.9762
angles (deg): 90.00 90.00 120.00
With the nearest neighbours (Å) after each atom.
Atoms (fractional coordinates):
Mg: 0.0000 0.0000 0.0000  3 S 3.12, 6 Mg 3.34
Te: 0.6667 0.3333 0.6649  3 Mo 2.70
Te: 0.6667 0.3333 0.7492  3 Mo 2.70
Mo: 0.3333 0.6667 0.0892  6 S 2.44-2.48
Mo: 0.3333 0.6667 0.7070  6 Te 2.70
W: 0.6667 0.3333 0.2714  6 Se 2.55-2.56
W: 0.6667 0.3333 0.8887  6 Se 2.55-2.56
Se: 0.3333 0.6667 0.2341  3 W 2.56
Se: 0.3333 0.6667 0.3086  3 W 2.55
Se: 0.3333 0.6667 0.8515  3 W 2.55
Se: 0.3333 0.6667 0.9261  3 W 2.56
S: 0.6667 0.3333 0.0546  3 Mo 2.48
S: 0.6667 0.3333 0.1226  3 Mo 2.44

Its total magnetization is 0.0 μB per cell. The value obtained for the formation energy from the elements is -0.53 eV per atom. The value obtained for the total energy after the MP2020 corrections is -0.4784 Ry per atom. The calculation puts the relative energy among the computed polymorphs at 19 meV per atom.


(3)
Computed, not measured: crystalline CuH at its relaxed geometry at the PBE level of DFT.

a b c (Å): 2.8399 2.8399 4.6853
angles (deg): 90.00 90.00 120.00
With the nearest neighbours (Å) after each atom.
Atoms (fractional coordinates):
Cu: 0.3333 0.6667 0.2764  3 H 1.69
Cu: 0.6667 0.3333 0.7236  3 H 1.69
H: 0.3333 0.6667 0.8134  3 Cu 1.69
H: 0.6667 0.3333 0.1866  3 Cu 1.69

Its total magnetization is 0.0 μB per cell. The value obtained for the formation energy from the elements is 0.10 eV per atom. The value obtained for the total energy after the MP2020 corrections is -0.2681 Ry per atom.


(4)
Computed, not measured: crystalline Pr2UTe5 at its relaxed geometry at the PBE level of DFT.

a b c (Å): 9.8655 9.8655 8.9038
angles (deg): 90.85 90.85 37.08
With the nearest neighbours (Å) after each atom.
Atoms (fractional coordinates):
Pr: 0.0856 0.0856 0.2381  8 Te 3.25-3.34
Pr: 0.2441 0.2559 0.7663  7 Te 3.14-3.32
Pr: 0.7441 0.7559 0.2337  7 Te 3.14-3.32
Pr: 0.9144 0.9144 0.7619  8 Te 3.25-3.34
U: 0.4016 0.4367 0.2386  8 Te 3.12-3.30
U: 0.5633 0.5984 0.7614  8 Te 3.12-3.30
Te: 0.0722 0.0961 0.8631  2 U 3.23-3.30, 3 Pr 3.23-3.34
Te: 0.0734 0.5707 0.4986  3 Pr 3.14-3.29, 1 U 3.30, 1 Te 3.33
Te: 0.2480 0.2590 0.1392  1 U 3.21, 4 Pr 3.25-3.32
Te: 0.2481 0.7519 0.5000  4 Te 3.11-3.33, 2 U 3.12, 2 Pr 3.25
Te: 0.4165 0.4202 0.8717  2 U 3.21-3.27, 3 Pr 3.27-3.30
Te: 0.4293 0.9266 0.5014  3 Pr 3.14-3.29, 1 U 3.30, 1 Te 3.33
Te: 0.5798 0.5835 0.1283  2 U 3.21-3.27, 3 Pr 3.27-3.30
Te: 0.7410 0.7520 0.8608  1 U 3.21, 4 Pr 3.25-3.32
Te: 0.7442 0.2558 0.5000  2 Te 3.11-3.16, 2 U 3.21, 2 Pr 3.27
Te: 0.9039 0.9278 0.1369  2 U 3.23-3.30, 3 Pr 3.23-3.34

Its total magnetization is 4.5 μB per cell. The value obtained for the formation energy from the elements is -1.38 eV per atom. The value obtained for the total energy after the MP2020 corrections is -0.4377 Ry per atom.


formation energy from the elements of number 1 (HfGa3)? -0.39 eV per atom


What is the formation energy from the elements in the third record? 0.10 eV per atom


What is the formula in the first record? HfGa3


Which of these has the highest formation energy from the elements? CuH